[1]
# r²SCAN Sc3IrC4, relaxed
data_Sc3IrC4
_chemical_formula_sum 'Sc12 Ir4 C16'
_cell_length_a 5.616
_cell_length_b 12.264
_cell_length_c 5.615
_cell_angle_alpha 90.00
_cell_angle_beta 104.72
_cell_angle_gamma 90.00
_symmetry_space_group_name_H-M 'C 1 2/m 1'
_symmetry_Int_Tables_number 12
_symmetry_space_group_name_Hall '-C 2y'
loop_
_atom_site_label
_atom_site_type_symbol
_atom_site_fract_x
_atom_site_fract_y
_atom_site_fract_z
Sc1 Sc 0.000 0.190 0.000
Sc2 Sc 0.000 0.309 0.500
Sc3 Sc 0.238 0.000 0.764
Ir1 Ir 0.228 0.500 0.728
C1 C 0.081 0.371 0.918
C2 C 0.082 0.128 0.419
# total moment: 0.000 μB per cell
# E_tot: -16.41 eV/atom

[2]
# r²SCAN Ti4CoNi, relaxed
data_Ti4CoNi
_chemical_formula_sum 'Ti64 Co16 Ni16'
_cell_length_a 11.211
_cell_length_b 11.211
_cell_length_c 11.211
_cell_angle_alpha 90.00
_cell_angle_beta 90.00
_cell_angle_gamma 90.00
_symmetry_space_group_name_H-M 'F -4 3 m'
_symmetry_Int_Tables_number 216
_symmetry_space_group_name_Hall 'F -4 2 3'
loop_
_atom_site_label
_atom_site_type_symbol
_atom_site_fract_x
_atom_site_fract_y
_atom_site_fract_z
Ti1 Ti 0.000 0.000 0.187
Ti2 Ti 0.063 0.250 0.250
Ti3 Ti 0.117 0.117 0.617
Co1 Co 0.099 0.099 0.401
Ni1 Ni 0.164 0.164 0.836
# total moment: 13.434 μB per cell
# E_tot: -13.08 eV/atom

[3]
# r²SCAN YbBiRh2, relaxed
data_YbBiRh2
_chemical_formula_sum 'Yb4 Bi4 Rh8'
_cell_length_a 6.669
_cell_length_b 6.669
_cell_length_c 6.669
_cell_angle_alpha 90.00
_cell_angle_beta 90.00
_cell_angle_gamma 90.00
_symmetry_space_group_name_H-M 'F m -3 m'
_symmetry_Int_Tables_number 225
_symmetry_space_group_name_Hall '-F 4 2 3'
loop_
_atom_site_label
_atom_site_type_symbol
_atom_site_fract_x
_atom_site_fract_y
_atom_site_fract_z
Yb1 Yb 0.000 0.000 0.000
Bi1 Bi 0.000 0.000 0.500
Rh1 Rh 0.250 0.250 0.250
# total moment: 0.273 μB per cell
# E_tot: -36.43 eV/atom

[4]
# r²SCAN Yb3Ho, relaxed
data_Yb3Ho
_chemical_formula_sum 'Yb6 Ho2'
_cell_length_a 7.1139
_cell_length_b 7.1139
_cell_length_c 5.4927
_cell_angle_alpha 90.00
_cell_angle_beta 90.00
_cell_angle_gamma 120.00
_symmetry_space_group_name_H-M 'P 63/m m c'
_symmetry_Int_Tables_number 194
_symmetry_space_group_name_Hall '-P 6c 2c'
loop_
_atom_site_label
_atom_site_type_symbol
_atom_site_fract_x
_atom_site_fract_y
_atom_site_fract_z
Yb1 Yb 0.1665 0.3329 0.2500
Ho1 Ho 0.3333 0.6667 0.7500
# total moment: 0.001 μB per cell
# E_tot: -35.63 eV/atom